# 1
This record from the Materials Project database describes a relaxed WSCl4 crystal. The functional is PBE.

Theoretical density (kg/m3): 2829
E_form (eV per atom): -1.29
Size of the total moment (μB per formula unit): 0.00
Energy (eV/atom): -4.878
SG: P-1, No. 2

POSCAR file:
```
WSCl4
1.0
6.709 0.000 0.000
-0.452 7.934 0.000
-0.582 -1.610 7.889
W S Cl
2 2 8
direct
0.142 0.213 0.260 W
0.858 0.787 0.740 W
0.320 0.271 0.492 S
0.680 0.729 0.508 S
0.019 0.469 0.227 Cl
0.167 0.921 0.171 Cl
0.170 0.858 0.661 Cl
0.361 0.254 0.064 Cl
0.639 0.746 0.936 Cl
0.830 0.142 0.339 Cl
0.833 0.079 0.829 Cl
0.981 0.531 0.773 Cl
```

---

# 2
This record from the Materials Project database describes a relaxed Cs2BeF4 crystal. The functional is PBE.

Theoretical density (kg/m3): 4113
E_form (eV per atom): -3.30
Energy (eV/atom): -4.923
SG: Pnma, No. 62

POSCAR file:
```
Cs2BeF4
1.0
8.288 0.000 0.000
0.000 6.251 0.000
0.000 0.000 10.937
Cs Be F
8 4 16
direct
0.011 0.250 0.189 Cs
0.163 0.750 0.407 Cs
0.337 0.250 0.907 Cs
0.489 0.750 0.689 Cs
0.511 0.250 0.311 Cs
0.663 0.750 0.093 Cs
0.837 0.250 0.593 Cs
0.989 0.750 0.811 Cs
0.241 0.750 0.084 Be
0.259 0.250 0.584 Be
0.741 0.750 0.416 Be
0.759 0.250 0.916 Be
0.052 0.750 0.088 F
0.192 0.044 0.649 F
0.192 0.456 0.649 F
0.195 0.250 0.447 F
0.305 0.750 0.947 F
0.308 0.544 0.149 F
0.308 0.956 0.149 F
0.448 0.250 0.588 F
0.552 0.750 0.412 F
0.692 0.044 0.851 F
0.692 0.456 0.851 F
0.695 0.250 0.053 F
0.805 0.750 0.553 F
0.808 0.544 0.351 F
0.808 0.956 0.351 F
0.948 0.250 0.912 F
```

---

# 3
This record from the Materials Project database describes a relaxed LiGdO2 crystal. The functional is PBE.

Theoretical density (kg/m3): 5867
E_form (eV per atom): -3.21
Energy (eV/atom): -9.332
SG: P2_1/c, No. 14

POSCAR file:
```
LiGdO2
1.0
6.367 0.000 0.000
0.000 6.216 0.000
-3.251 0.000 5.612
Li Gd O
4 4 8
direct
0.203 0.158 0.429 Li
0.203 0.342 0.929 Li
0.797 0.658 0.071 Li
0.797 0.842 0.571 Li
0.269 0.632 0.525 Gd
0.269 0.868 0.025 Gd
0.731 0.132 0.975 Gd
0.731 0.368 0.475 Gd
0.049 0.606 0.737 O
0.049 0.894 0.237 O
0.484 0.178 0.144 O
0.484 0.322 0.644 O
0.516 0.678 0.356 O
0.516 0.822 0.856 O
0.951 0.106 0.763 O
0.951 0.394 0.263 O
```

---

# 4
This record from the Materials Project database describes a relaxed BiAsO4 crystal. The functional is PBE.

Theoretical density (kg/m3): 6877
E_form (eV per atom): -1.77
Energy (eV/atom): -6.032
SG: P2_1/c, No. 14

POSCAR file:
```
BiAsO4
1.0
6.836 0.000 0.000
0.000 7.289 0.000
-4.991 0.000 6.744
Bi As O
4 4 16
direct
0.201 0.133 0.281 Bi
0.201 0.367 0.781 Bi
0.799 0.633 0.219 Bi
0.799 0.867 0.719 Bi
0.312 0.662 0.202 As
0.312 0.838 0.702 As
0.688 0.162 0.298 As
0.688 0.338 0.798 As
0.130 0.644 0.610 O
0.130 0.856 0.110 O
0.160 0.501 0.237 O
0.160 0.999 0.737 O
0.362 0.602 0.027 O
0.362 0.898 0.527 O
0.388 0.207 0.108 O
0.388 0.293 0.608 O
0.612 0.707 0.392 O
0.612 0.793 0.892 O
0.638 0.102 0.473 O
0.638 0.398 0.973 O
0.840 0.001 0.263 O
0.840 0.499 0.763 O
0.870 0.144 0.890 O
0.870 0.356 0.390 O
```

---

# 5
This record from the Materials Project database describes a relaxed Nd3Si2ClO8 crystal. The functional is PBE.

Theoretical density (kg/m3): 5162
E_form (eV per atom): -3.56
Size of the total moment (μB per formula unit): 0.00
Energy (eV/atom): -7.921
SG: Pnma, No. 62

POSCAR file:
```
Nd3Si2ClO8
1.0
7.171 0.000 0.000
0.000 18.343 0.000
0.000 0.000 6.382
Nd Si Cl O
12 8 4 32
direct
0.025 0.091 0.126 Nd
0.025 0.409 0.126 Nd
0.191 0.750 0.383 Nd
0.309 0.250 0.883 Nd
0.475 0.591 0.626 Nd
0.475 0.909 0.626 Nd
0.525 0.091 0.374 Nd
0.525 0.409 0.374 Nd
0.691 0.750 0.117 Nd
0.809 0.250 0.617 Nd
0.975 0.591 0.874 Nd
0.975 0.909 0.874 Nd
0.035 0.100 0.620 Si
0.035 0.400 0.620 Si
0.465 0.600 0.120 Si
0.465 0.900 0.120 Si
0.535 0.100 0.880 Si
0.535 0.400 0.880 Si
0.965 0.600 0.380 Si
0.965 0.900 0.380 Si
0.056 0.250 0.236 Cl
0.444 0.750 0.736 Cl
0.556 0.250 0.264 Cl
0.944 0.750 0.764 Cl
0.019 0.031 0.783 O
0.019 0.469 0.783 O
0.049 0.174 0.773 O
0.049 0.326 0.773 O
0.150 0.619 0.529 O
0.150 0.881 0.529 O
0.204 0.095 0.450 O
0.204 0.405 0.450 O
0.296 0.595 0.950 O
0.296 0.905 0.950 O
0.350 0.119 0.029 O
0.350 0.381 0.029 O
0.451 0.674 0.273 O
0.451 0.826 0.273 O
0.481 0.531 0.283 O
0.481 0.969 0.283 O
0.519 0.031 0.717 O
0.519 0.469 0.717 O
0.549 0.174 0.727 O
0.549 0.326 0.727 O
0.650 0.619 0.971 O
0.650 0.881 0.971 O
0.704 0.095 0.050 O
0.704 0.405 0.050 O
0.796 0.595 0.550 O
0.796 0.905 0.550 O
0.850 0.119 0.471 O
0.850 0.381 0.471 O
0.951 0.674 0.227 O
0.951 0.826 0.227 O
0.981 0.531 0.217 O
0.981 0.969 0.217 O
```

---

# 6
This record from the Materials Project database describes a relaxed Mg6CoNi crystal. The functional is PBE.

Theoretical density (kg/m3): 3077
E_form (eV per atom): 0.13
Size of the total moment (μB per formula unit): 0.83
Energy (eV/atom): -2.682

POSCAR file:
```
Mg6CoNi
1.0
-0.101 0.735 4.578
3.253 -5.047 0.882
8.524 5.376 -0.675
Mg Co Ni
12 2 2
direct
0.500 0.249 0.584 Mg
0.500 0.751 0.584 Mg
0.000 0.251 0.409 Mg
0.000 0.749 0.409 Mg
0.000 0.000 0.675 Mg
0.000 0.000 0.175 Mg
0.500 0.749 0.084 Mg
0.500 0.251 0.084 Mg
0.000 0.751 0.909 Mg
0.000 0.249 0.909 Mg
0.000 0.500 0.175 Mg
0.000 0.500 0.675 Mg
0.500 0.000 0.832 Co
0.500 0.500 0.332 Co
0.500 0.000 0.332 Ni
0.500 0.500 0.832 Ni
```

---

# 7
This record from the Materials Project database describes a relaxed Ca2Mg5Si8O22F2 crystal. The functional is PBE.

Theoretical density (kg/m3): 2904
E_form (eV per atom): -3.36
Size of the total moment (μB per formula unit): 0.00
Energy (eV/atom): -7.254
SG: C2/m, No. 12

POSCAR file:
```
Ca2Mg5Si8O22F2
1.0
4.968 -9.106 0.000
4.968 9.106 0.000
-1.331 0.000 5.159
Ca Mg Si O F
2 5 8 22 2
direct
0.222 0.778 0.000 Ca
0.778 0.222 0.000 Ca
0.323 0.677 0.500 Mg
0.412 0.588 0.000 Mg
0.500 0.500 0.500 Mg
0.588 0.412 0.000 Mg
0.677 0.323 0.500 Mg
0.040 0.382 0.697 Si
0.135 0.302 0.204 Si
0.302 0.135 0.204 Si
0.382 0.040 0.697 Si
0.618 0.960 0.303 Si
0.698 0.865 0.796 Si
0.865 0.698 0.796 Si
0.960 0.618 0.303 Si
0.019 0.288 0.401 O
0.036 0.275 0.914 O
0.114 0.618 0.292 O
0.160 0.160 0.207 O
0.211 0.551 0.776 O
0.275 0.036 0.914 O
0.288 0.019 0.401 O
0.303 0.473 0.282 O
0.382 0.886 0.708 O
0.449 0.789 0.224 O
0.473 0.303 0.282 O
0.527 0.697 0.718 O
0.551 0.211 0.776 O
0.618 0.114 0.292 O
0.697 0.527 0.718 O
0.712 0.981 0.599 O
0.725 0.964 0.086 O
0.789 0.449 0.224 O
0.840 0.840 0.793 O
0.886 0.382 0.708 O
0.964 0.725 0.086 O
0.981 0.712 0.599 O
0.399 0.399 0.788 F
0.601 0.601 0.212 F
```

---

# 8
This record from the Materials Project database describes a relaxed MgH20Br4N4O4 crystal. The functional is PBE.

Theoretical density (kg/m3): 1777
E_form (eV per atom): -0.81
Size of the total moment (μB per formula unit): 0.00
Energy (eV/atom): -4.645
SG: P1, No. 1

POSCAR file:
```
MgH20Br4N4O4
1.0
7.541 0.000 0.000
0.931 7.528 0.000
0.487 3.648 7.968
Mg H Br N O
1 20 4 4 4
direct
0.000 0.000 0.000 Mg
0.041 0.341 0.510 H
0.057 0.541 0.332 H
0.060 0.703 0.651 H
0.148 0.534 0.522 H
0.242 0.382 0.417 H
0.244 0.552 0.731 H
0.258 0.751 0.556 H
0.280 0.299 0.037 H
0.406 0.216 0.932 H
0.519 0.157 0.396 H
0.527 0.696 0.062 H
0.556 0.431 0.982 H
0.566 0.260 0.508 H
0.592 0.484 0.223 H
0.705 0.604 0.876 H
0.716 0.795 0.604 H
0.776 0.390 0.041 H
0.780 0.901 0.709 H
0.797 0.694 0.134 H
0.807 0.809 0.246 H
0.020 0.184 0.180 Br
0.295 0.931 0.885 Br
0.560 0.866 0.376 Br
0.795 0.191 0.751 Br
0.122 0.447 0.442 N
0.179 0.642 0.621 N
0.634 0.590 0.109 N
0.667 0.497 0.995 N
0.377 0.334 0.952 O
0.501 0.284 0.406 O
0.786 0.772 0.705 O
0.885 0.769 0.167 O
```

---

- Which of these has the highest E_form?
  Mg6CoNi

---

- Among the records above, which one has the highest energy?
  Mg6CoNi

---

- The highest E_form belongs to which entry?
  Mg6CoNi

---

- The highest theoretical density belongs to which entry?
  BiAsO4